V9O22 after structural relaxation. Source: the Materials Project, functional PBE+U.

Cell: 3.6530 10.3458 21.8273 Å, 78.35 90.00 90.00°
Closest atoms and distances in Å follow each position.
Atoms (fractional coordinates):
O  0.2500  0.2913  0.9893  2 V 1.88-1.91
V  0.2500  0.4582  0.3678  1 O 1.60
O  0.2500  0.9216  0.0043  3 V 1.92-2.02
O  0.7500  0.5426  0.7499  1 V 1.62
O  0.2500  0.4990  0.6561  3 V 1.93-1.98
O  0.7500  0.8631  0.5193  1 V 1.69
O  0.2500  0.1369  0.4807  1 V 1.69
O  0.7500  0.5010  0.3439  3 V 1.93-1.98
O  0.7500  0.2427  0.2657  3 V 1.92-2.04
O  0.7500  0.5608  0.5578  1 V 1.60
V  0.2500  0.2758  0.0908  2 O 1.62-1.81
O  0.2500  0.2742  0.7601  1 V 1.59
O  0.7500  0.0784  0.9957  3 V 1.92-2.02
O  0.2500  0.4574  0.2501  1 V 1.62
V  0.7500  0.8808  0.0267  1 O 1.59
O  0.7500  0.0913  0.5745  3 V 1.92-2.02
O  0.7500  0.9248  0.6982  2 V 1.91
O  0.7500  0.7129  0.8276  2 V 1.81-1.82
O  0.2500  0.3062  0.5639  1 V 1.61
O  0.2500  0.1318  0.6669  3 V 1.89-2.08
V  0.7500  0.7242  0.9092  2 O 1.62-1.81
O  0.2500  0.0752  0.3018  2 V 1.91
O  0.7500  0.6938  0.4361  1 V 1.61
V  0.7500  0.8921  0.5930  3 O 1.69-1.89
O  0.2500  0.9860  0.7849  1 V 1.60
O  0.7500  0.8821  0.9063  1 V 1.62
V  0.2500  0.4649  0.9388  1 O 1.60
O  0.7500  0.0140  0.2151  1 V 1.60
O  0.2500  0.4342  0.8699  1 V 1.60
O  0.2500  0.6671  0.9205  3 V 1.92-2.05
V  0.7500  0.0417  0.2845  1 O 1.60
O  0.2500  0.1465  0.8989  1 V 1.59
O  0.2500  0.9087  0.4255  3 V 1.92-2.02
O  0.2500  0.2871  0.1724  2 V 1.81-1.82
O  0.7500  0.7124  0.6449  2 V 1.84-1.97
O  0.2500  0.4392  0.4422  1 V 1.60
V  0.2500  0.2994  0.2543  1 O 1.62
V  0.7500  0.8520  0.4297  1 O 1.61
V  0.2500  0.9583  0.7155  1 O 1.60
O  0.2500  0.9196  0.6089  2 V 1.89
V  0.2500  0.3049  0.6856  1 O 1.59
O  0.2500  0.6588  0.3362  3 V 1.91-2.05
O  0.7500  0.0804  0.3911  2 V 1.89
V  0.2500  0.1480  0.5703  1 O 1.61
O  0.2500  0.7573  0.7343  3 V 1.92-2.04
O  0.7500  0.5658  0.1301  1 V 1.60
V  0.2500  0.1192  0.9733  1 O 1.59
V  0.7500  0.6951  0.3144  1 O 1.59
O  0.7500  0.8535  0.1011  1 V 1.59
O  0.2500  0.4998  0.0461  2 V 1.90
O  0.7500  0.8682  0.3331  3 V 1.89-2.08
O  0.7500  0.5002  0.9539  2 V 1.90
O  0.7500  0.3412  0.6638  3 V 1.91-2.05
O  0.2500  0.2876  0.3551  2 V 1.84-1.97
O  0.2500  0.1179  0.0937  1 V 1.62
V  0.7500  0.5351  0.0612  1 O 1.60
V  0.2500  0.1079  0.4070  3 O 1.69-1.89
O  0.7500  0.7087  0.0107  2 V 1.88-1.91
V  0.7500  0.7006  0.7457  1 O 1.62
O  0.7500  0.7258  0.2399  1 V 1.59
V  0.7500  0.5418  0.6322  1 O 1.60
O  0.7500  0.3329  0.0795  3 V 1.92-2.05

Values from the calculation:
The value obtained for the offset from the most stable computed form is 0 meV per atom. The formation energy comes out at -6797 kJ/mol of formula units. The calculation puts the calculated total energy at -7.440 eV per atom. The total magnetization is 1.46 Bohr magnetons per cell. The MP2020-corrected energy comes out at -0.6189 Ry per atom.